An optimized crystal structure of CaZnPb. Source: the Materials Project database, functional PBE.

Unit cell a=4.8117 b=4.8117 c=7.6908 alpha=90.00 beta=90.00 gamma=120.00
Space group P6_3mc (No. 186)
Symmetry-distinct sites (fractional):
Ca: 0.0000 0.0000 0.0000 (multiplicity 2)
Zn: 0.3333 0.6667 0.3127 (multiplicity 2)
Pb: 0.3333 0.6667 0.7178 (multiplicity 2)

Properties
ΔE_f = -377 meV per atom
Calculated total energy = -16.2 eV/cell
Calculated volume = 154 Å³ per cell

=====

An optimized crystal structure of K2LiTmCl6. Source: the Materials Project database, functional PBE.

Unit cell a=10.321 b=10.321 c=10.321 alpha=90.00 beta=90.00 gamma=90.00
Space group Fm-3m (No. 225)
Symmetry-distinct sites (fractional):
K: 0.250 0.250 0.250 (multiplicity 8)
Li: 0.000 0.000 0.000 (multiplicity 4)
Tm: 0.000 0.000 0.500 (multiplicity 4)
Cl: 0.000 0.000 0.249 (multiplicity 24)

Properties
ΔE_f = -2440 meV per atom
MP2020-corrected energy = -0.3241 Ry per atom
Calculated total energy = -161.6 eV/cell
Calculated volume = 1099 Å³ per cell

=====

An optimized crystal structure of K3Hf. Source: the Materials Project database, functional PBE.

Unit cell a=5.788 b=5.788 c=5.788 alpha=90.00 beta=90.00 gamma=90.00
Space group Pm-3m (No. 221)
Symmetry-distinct sites (fractional):
K: 0.000 0.000 0.500 (multiplicity 3)
Hf: 0.500 0.500 0.500 (multiplicity 1)

Properties
ΔE_f = 1181 meV per atom
Calculated total energy = -8.6 eV/cell
Excess energy over the best structure of this formula in the dataset = 0.054 eV per atom
Calculated volume = 194 Å³ per cell

=====

An optimized crystal structure of CrIr3. Source: the Materials Project database, functional PBE.

Unit cell a=2.7060 b=2.7060 c=26.4205 alpha=90.00 beta=90.00 gamma=120.00
Space group R-3m (No. 166, hexagonal axes)
Symmetry-distinct sites (fractional):
Cr: 0.0000 0.0000 0.0000 (multiplicity 3)
Ir: 0.0000 0.0000 0.2545 (multiplicity 6)
Ir: 0.0000 0.0000 0.5000 (multiplicity 3)

Properties
ΔE_f = -104 meV per atom
Calculated total energy = -109.8 eV/cell
Calculated volume = 168 Å³ per cell

=====

An optimized crystal structure of K2SrIn7. Source: the Materials Project database, functional PBE.

Unit cell a=5.130 b=12.212 c=20.113 alpha=90.00 beta=90.00 gamma=90.00
Space group Cmcm (No. 63)
Symmetry-distinct sites (fractional):
K: 0.000 0.161 0.052 (multiplicity 8)
Sr: 0.000 0.342 0.250 (multiplicity 4)
In: 0.000 0.045 0.250 (multiplicity 4)
In: 0.000 0.122 0.630 (multiplicity 8)
In: 0.000 0.361 0.674 (multiplicity 8)
In: 0.000 0.457 0.071 (multiplicity 8)

Properties
ΔE_f = -228 meV per atom
Calculated total energy = -101.8 eV/cell
Calculated volume = 1260 Å³ per cell

=====

An optimized crystal structure of Tm3Cu4Si4. Source: the Materials Project database, functional PBE.

Unit cell a=4.089 b=6.490 c=13.524 alpha=90.00 beta=90.00 gamma=90.00
Space group Immm (No. 71)
Symmetry-distinct sites (fractional):
Tm: 0.000 0.000 0.000 (multiplicity 2)
Tm: 0.000 0.500 0.129 (multiplicity 4)
Cu: 0.000 0.308 0.331 (multiplicity 8)
Si: 0.000 0.000 0.216 (multiplicity 4)
Si: 0.000 0.186 0.500 (multiplicity 4)

Properties
ΔE_f = -613 meV per atom
MP2020-corrected energy = -0.3893 Ry per atom
Calculated total energy = -117.1 eV/cell
Calculated volume = 359 Å³ per cell

=====

An optimized crystal structure of Na2Ca4SiSn4S11O48. Source: the Materials Project database, functional PBE.

Unit cell a=8.981 b=15.544 c=23.602 alpha=90.05 beta=90.15 gamma=90.08
Space group P1 (No. 1)
Symmetry-distinct sites (fractional):
Na: 0.000 0.000 0.000 (multiplicity 1)
Na: 0.001 0.002 0.509 (multiplicity 1)
Na: 0.514 0.502 0.012 (multiplicity 1)
Na: 0.514 0.507 0.502 (multiplicity 1)
Na: 0.523 0.845 0.847 (multiplicity 1)
Na: 0.993 0.344 0.342 (multiplicity 1)
Ca: 0.002 0.006 0.860 (multiplicity 1)
Ca: 0.003 0.008 0.356 (multiplicity 1)
Ca: 0.003 0.679 0.533 (multiplicity 1)
Ca: 0.006 0.007 0.660 (multiplicity 1)
Ca: 0.007 0.010 0.159 (multiplicity 1)
Ca: 0.500 0.511 0.659 (multiplicity 1)
Ca: 0.504 0.179 0.820 (multiplicity 1)
Ca: 0.504 0.840 0.483 (multiplicity 1)
Ca: 0.505 0.507 0.858 (multiplicity 1)
Ca: 0.509 0.503 0.359 (multiplicity 1)
Ca: 0.510 0.503 0.156 (multiplicity 1)
Ca: 0.514 0.841 0.984 (multiplicity 1)
Si: 0.649 0.321 0.428 (multiplicity 1)
Si: 0.711 0.342 0.087 (multiplicity 1)
Si: 0.860 0.822 0.924 (multiplicity 1)
Sn: 0.000 0.678 0.823 (multiplicity 1)
Sn: 0.001 0.682 0.027 (multiplicity 1)
Sn: 0.002 0.342 0.694 (multiplicity 1)
Sn: 0.005 0.677 0.324 (multiplicity 1)
Sn: 0.504 0.842 0.190 (multiplicity 1)
Sn: 0.506 0.177 0.528 (multiplicity 1)
Sn: 0.506 0.845 0.690 (multiplicity 1)
Sn: 0.510 0.177 0.028 (multiplicity 1)
Sn: 0.512 0.181 0.324 (multiplicity 1)
Sn: 0.995 0.343 0.187 (multiplicity 1)
Sn: 0.996 0.344 0.487 (multiplicity 1)
Sn: 0.998 0.344 0.989 (multiplicity 1)
S: 0.142 0.492 0.087 (multiplicity 1)
S: 0.146 0.528 0.426 (multiplicity 1)
S: 0.146 0.821 0.423 (multiplicity 1)
S: 0.148 0.163 0.755 (multiplicity 1)
S: 0.154 0.200 0.088 (multiplicity 1)
S: 0.163 0.855 0.757 (multiplicity 1)
S: 0.195 0.511 0.758 (multiplicity 1)
S: 0.211 0.838 0.091 (multiplicity 1)
S: 0.216 0.178 0.427 (multiplicity 1)
S: 0.286 0.339 0.588 (multiplicity 1)
S: 0.287 0.673 0.925 (multiplicity 1)
S: 0.316 0.011 0.258 (multiplicity 1)
S: 0.342 0.354 0.257 (multiplicity 1)
S: 0.348 0.323 0.930 (multiplicity 1)
S: 0.349 0.664 0.258 (multiplicity 1)
S: 0.359 0.036 0.928 (multiplicity 1)
S: 0.362 0.699 0.592 (multiplicity 1)
S: 0.362 0.994 0.588 (multiplicity 1)
S: 0.645 0.991 0.091 (multiplicity 1)
S: 0.646 0.035 0.425 (multiplicity 1)
S: 0.656 0.697 0.091 (multiplicity 1)
S: 0.657 0.663 0.758 (multiplicity 1)
S: 0.661 0.362 0.755 (multiplicity 1)
S: 0.699 0.004 0.755 (multiplicity 1)
S: 0.718 0.676 0.423 (multiplicity 1)
S: 0.792 0.845 0.592 (multiplicity 1)
S: 0.800 0.179 0.928 (multiplicity 1)
S: 0.817 0.510 0.259 (multiplicity 1)
S: 0.848 0.855 0.257 (multiplicity 1)
S: 0.852 0.164 0.258 (multiplicity 1)
S: 0.857 0.200 0.589 (multiplicity 1)
S: 0.861 0.483 0.592 (multiplicity 1)
S: 0.867 0.530 0.927 (multiplicity 1)
O: 0.064 0.576 0.080 (multiplicity 1)
O: 0.074 0.254 0.749 (multiplicity 1)
O: 0.074 0.438 0.429 (multiplicity 1)
O: 0.075 0.907 0.417 (multiplicity 1)
O: 0.076 0.453 0.140 (multiplicity 1)
O: 0.077 0.126 0.805 (multiplicity 1)
O: 0.077 0.565 0.372 (multiplicity 1)
O: 0.082 0.779 0.472 (multiplicity 1)
O: 0.084 0.115 0.094 (multiplicity 1)
O: 0.087 0.243 0.038 (multiplicity 1)
O: 0.092 0.588 0.767 (multiplicity 1)
O: 0.096 0.434 0.749 (multiplicity 1)
O: 0.098 0.892 0.706 (multiplicity 1)
O: 0.103 0.765 0.764 (multiplicity 1)
O: 0.112 0.577 0.476 (multiplicity 1)
O: 0.112 0.912 0.098 (multiplicity 1)
O: 0.116 0.104 0.422 (multiplicity 1)
O: 0.116 0.769 0.369 (multiplicity 1)
O: 0.117 0.114 0.704 (multiplicity 1)
O: 0.119 0.436 0.037 (multiplicity 1)
O: 0.122 0.756 0.088 (multiplicity 1)
O: 0.128 0.261 0.433 (multiplicity 1)
O: 0.133 0.254 0.141 (multiplicity 1)
O: 0.145 0.907 0.808 (multiplicity 1)
O: 0.174 0.343 0.248 (multiplicity 1)
O: 0.181 0.330 0.939 (multiplicity 1)
O: 0.182 0.676 0.267 (multiplicity 1)
O: 0.190 0.351 0.536 (multiplicity 1)
O: 0.193 0.327 0.639 (multiplicity 1)
O: 0.193 0.680 0.872 (multiplicity 1)
O: 0.194 0.659 0.977 (multiplicity 1)
O: 0.195 0.032 0.927 (multiplicity 1)
O: 0.201 0.692 0.591 (multiplicity 1)
O: 0.202 0.008 0.594 (multiplicity 1)
O: 0.225 0.994 0.308 (multiplicity 1)
O: 0.227 0.029 0.208 (multiplicity 1)
O: 0.282 0.528 0.708 (multiplicity 1)
O: 0.285 0.495 0.809 (multiplicity 1)
O: 0.303 0.504 0.093 (multiplicity 1)
O: 0.304 0.827 0.145 (multiplicity 1)
O: 0.304 0.850 0.041 (multiplicity 1)
O: 0.306 0.518 0.419 (multiplicity 1)
O: 0.307 0.178 0.761 (multiplicity 1)
O: 0.307 0.191 0.375 (multiplicity 1)
O: 0.307 0.829 0.425 (multiplicity 1)
O: 0.308 0.165 0.479 (multiplicity 1)
O: 0.317 0.192 0.082 (multiplicity 1)
O: 0.332 0.845 0.749 (multiplicity 1)
O: 0.360 0.406 0.308 (multiplicity 1)
O: 0.367 0.611 0.207 (multiplicity 1)
O: 0.369 0.273 0.879 (multiplicity 1)
O: 0.371 0.753 0.928 (multiplicity 1)
O: 0.373 0.258 0.582 (multiplicity 1)
O: 0.382 0.415 0.592 (multiplicity 1)
O: 0.382 0.596 0.921 (multiplicity 1)
O: 0.393 0.752 0.647 (multiplicity 1)
O: 0.393 0.943 0.538 (multiplicity 1)
O: 0.394 0.088 0.982 (multiplicity 1)
O: 0.405 0.265 0.266 (multiplicity 1)
O: 0.410 0.391 0.207 (multiplicity 1)
O: 0.413 0.410 0.928 (multiplicity 1)
O: 0.413 0.754 0.248 (multiplicity 1)
O: 0.414 0.280 0.982 (multiplicity 1)
O: 0.415 0.089 0.268 (multiplicity 1)
O: 0.415 0.934 0.249 (multiplicity 1)
O: 0.418 0.628 0.308 (multiplicity 1)
O: 0.420 0.078 0.878 (multiplicity 1)
O: 0.425 0.950 0.933 (multiplicity 1)
O: 0.426 0.741 0.543 (multiplicity 1)
O: 0.428 0.957 0.641 (multiplicity 1)
O: 0.432 0.614 0.598 (multiplicity 1)
O: 0.439 0.083 0.584 (multiplicity 1)
O: 0.567 0.076 0.086 (multiplicity 1)
O: 0.576 0.953 0.429 (multiplicity 1)
O: 0.578 0.274 0.485 (multiplicity 1)
O: 0.578 0.414 0.426 (multiplicity 1)
O: 0.578 0.952 0.145 (multiplicity 1)
O: 0.579 0.077 0.373 (multiplicity 1)
O: 0.589 0.613 0.099 (multiplicity 1)
O: 0.589 0.627 0.809 (multiplicity 1)
O: 0.592 0.753 0.751 (multiplicity 1)
O: 0.594 0.738 0.042 (multiplicity 1)
O: 0.598 0.077 0.762 (multiplicity 1)
O: 0.598 0.402 0.704 (multiplicity 1)
O: 0.599 0.922 0.750 (multiplicity 1)
O: 0.601 0.276 0.761 (multiplicity 1)
O: 0.607 0.425 0.090 (multiplicity 1)
O: 0.616 0.252 0.080 (multiplicity 1)
O: 0.617 0.089 0.477 (multiplicity 1)
O: 0.618 0.938 0.042 (multiplicity 1)
O: 0.622 0.599 0.417 (multiplicity 1)
O: 0.627 0.262 0.370 (multiplicity 1)
O: 0.630 0.613 0.707 (multiplicity 1)
O: 0.631 0.754 0.425 (multiplicity 1)
O: 0.633 0.753 0.145 (multiplicity 1)
O: 0.639 0.415 0.806 (multiplicity 1)
O: 0.681 0.844 0.248 (multiplicity 1)
O: 0.682 0.824 0.921 (multiplicity 1)
O: 0.686 0.173 0.264 (multiplicity 1)
O: 0.692 0.193 0.583 (multiplicity 1)
O: 0.696 0.856 0.542 (multiplicity 1)
O: 0.699 0.835 0.646 (multiplicity 1)
O: 0.700 0.488 0.596 (multiplicity 1)
O: 0.704 0.519 0.923 (multiplicity 1)
O: 0.705 0.167 0.980 (multiplicity 1)
O: 0.710 0.193 0.878 (multiplicity 1)
O: 0.729 0.493 0.309 (multiplicity 1)
O: 0.730 0.524 0.208 (multiplicity 1)
O: 0.788 0.013 0.704 (multiplicity 1)
O: 0.788 0.987 0.806 (multiplicity 1)
O: 0.805 0.004 0.099 (multiplicity 1)
O: 0.809 0.031 0.420 (multiplicity 1)
O: 0.812 0.323 0.145 (multiplicity 1)
O: 0.812 0.685 0.368 (multiplicity 1)
O: 0.813 0.664 0.472 (multiplicity 1)
O: 0.822 0.359 0.033 (multiplicity 1)
O: 0.823 0.671 0.764 (multiplicity 1)
O: 0.823 0.689 0.088 (multiplicity 1)
O: 0.830 0.355 0.749 (multiplicity 1)
O: 0.837 0.324 0.431 (multiplicity 1)
O: 0.866 0.908 0.308 (multiplicity 1)
O: 0.880 0.114 0.207 (multiplicity 1)
O: 0.881 0.767 0.590 (multiplicity 1)
O: 0.882 0.253 0.640 (multiplicity 1)
O: 0.887 0.923 0.596 (multiplicity 1)
O: 0.890 0.428 0.539 (multiplicity 1)
O: 0.893 0.759 0.867 (multiplicity 1)
O: 0.894 0.259 0.935 (multiplicity 1)
O: 0.896 0.582 0.979 (multiplicity 1)
O: 0.897 0.104 0.926 (multiplicity 1)
O: 0.912 0.766 0.266 (multiplicity 1)
O: 0.916 0.587 0.267 (multiplicity 1)
O: 0.917 0.127 0.309 (multiplicity 1)
O: 0.918 0.892 0.207 (multiplicity 1)
O: 0.920 0.432 0.252 (multiplicity 1)
O: 0.921 0.254 0.253 (multiplicity 1)
O: 0.924 0.115 0.593 (multiplicity 1)
O: 0.924 0.241 0.538 (multiplicity 1)
O: 0.928 0.439 0.643 (multiplicity 1)
O: 0.931 0.568 0.875 (multiplicity 1)
O: 0.935 0.565 0.588 (multiplicity 1)
O: 0.935 0.778 0.983 (multiplicity 1)
O: 0.942 0.913 0.924 (multiplicity 1)
O: 0.943 0.445 0.932 (multiplicity 1)

Properties
ΔE_f = -2190 meV per atom
MP2020-corrected energy = -0.4919 Ry per atom
Calculated total energy = -1306.4 eV/cell
Calculated volume = 3295 Å³ per cell

=====

An optimized crystal structure of Mn2SbTe. Source: the Materials Project database, functional PBE.

Unit cell a=3.862 b=6.618 c=7.244 alpha=90.06 beta=90.06 gamma=90.30
Space group P1 (No. 1)
Symmetry-distinct sites (fractional):
Mn: 0.000 0.000 0.000 (multiplicity 1)
Mn: 0.000 0.334 0.512 (multiplicity 1)
Mn: 0.502 0.494 0.012 (multiplicity 1)
Mn: 0.508 0.828 0.502 (multiplicity 1)
Sb: 0.005 0.663 0.258 (multiplicity 1)
Sb: 0.499 0.164 0.754 (multiplicity 1)
Te: 0.004 0.665 0.762 (multiplicity 1)
Te: 0.507 0.161 0.253 (multiplicity 1)

Properties
ΔE_f = 102 meV per atom
MP2020-corrected energy = -0.4628 Ry per atom
Calculated total energy = -49.5 eV/cell
Calculated volume = 185 Å³ per cell